No. 1
Entry from Materials Project: an optimized crystal structure of Sr2NiO3F (PBE+U).

a = 3.8344 Å, b = 3.8344 Å, c = 13.1498 Å
α = 90.00°, β = 90.00°, γ = 90.00°
Space group I4mm (No. 107)
One atom of each set of equivalent atoms:
1 Sr 0.0000 0.0000 0.0000 (multiplicity 2)
2 Sr 0.0000 0.0000 0.2747 (multiplicity 2)
3 Ni 0.0000 0.0000 0.6195 (multiplicity 2)
4 O 0.0000 0.0000 0.4662 (multiplicity 2)
5 O 0.0000 0.5000 0.1411 (multiplicity 4)
6 F 0.0000 0.0000 0.8113 (multiplicity 2)

Results
As for the calculated formation energy: -2.595 eV per atom. The MP2020-corrected energy is -6.298 eV per atom.

---

No. 2
Entry from Materials Project: an optimized crystal structure of Mn3O4 (PBE+U).

a = 10.5819 Å, b = 3.1601 Å, c = 12.1303 Å
α = 90.00°, β = 90.02°, γ = 90.00°
Space group Pm (No. 6)
One atom of each set of equivalent atoms:
1 Mn 0.0000 0.0000 0.0000 (multiplicity 1)
2 Mn 0.0006 0.0000 0.5716 (multiplicity 1)
3 Mn 0.2549 0.0000 0.4861 (multiplicity 1)
4 Mn 0.2562 0.0000 0.0795 (multiplicity 1)
5 Mn 0.3520 0.5000 0.2849 (multiplicity 1)
6 Mn 0.4075 0.0000 0.7834 (multiplicity 1)
7 Mn 0.4946 0.5000 0.5828 (multiplicity 1)
8 Mn 0.4991 0.5000 0.9883 (multiplicity 1)
9 Mn 0.7486 0.5000 0.5048 (multiplicity 1)
10 Mn 0.7505 0.5000 0.0728 (multiplicity 1)
11 Mn 0.8128 0.0000 0.2835 (multiplicity 1)
12 Mn 0.9207 0.5000 0.7865 (multiplicity 1)
13 O 0.0137 0.0000 0.7861 (multiplicity 1)
14 O 0.1262 0.5000 0.5264 (multiplicity 1)
15 O 0.1278 0.5000 0.0410 (multiplicity 1)
16 O 0.2562 0.0000 0.2872 (multiplicity 1)
17 O 0.3721 0.5000 0.1293 (multiplicity 1)
18 O 0.3743 0.5000 0.4396 (multiplicity 1)
19 O 0.3773 0.0000 0.6301 (multiplicity 1)
20 O 0.3840 0.0000 0.9380 (multiplicity 1)
21 O 0.5036 0.5000 0.7803 (multiplicity 1)
22 O 0.6235 0.0000 0.5473 (multiplicity 1)
23 O 0.6258 0.0000 0.0270 (multiplicity 1)
24 O 0.7197 0.5000 0.2744 (multiplicity 1)
25 O 0.8504 0.0000 0.4375 (multiplicity 1)
26 O 0.8600 0.0000 0.1326 (multiplicity 1)
27 O 0.8904 0.5000 0.6313 (multiplicity 1)
28 O 0.8896 0.5000 0.9408 (multiplicity 1)

Results
As for the calculated formation energy: -1.832 eV per atom. The MP2020-corrected energy is -8.586 eV per atom.

---

No. 3
Entry from Materials Project: an optimized crystal structure of K4Fe4P5O20 (PBE+U).

a = 9.9691 Å, b = 9.9691 Å, c = 9.6381 Å
α = 90.00°, β = 90.00°, γ = 90.00°
Space group P-42_1c (No. 114)
One atom of each set of equivalent atoms:
1 K 0.0715 0.3321 0.4685 (multiplicity 8)
2 Fe 0.0757 0.8137 0.7890 (multiplicity 8)
3 P 0.0000 0.0000 0.5000 (multiplicity 2)
4 P 0.0869 0.7571 0.1363 (multiplicity 8)
5 O 0.0588 0.8855 0.5909 (multiplicity 8)
6 O 0.0627 0.2262 0.1784 (multiplicity 8)
7 O 0.0983 0.7280 0.9800 (multiplicity 8)
8 O 0.1173 0.1693 0.8226 (multiplicity 8)
9 O 0.1314 0.6397 0.7150 (multiplicity 8)

Results
As for the calculated formation energy: -2.438 eV per atom. The MP2020-corrected energy is -7.419 eV per atom.